[1]
ThAl2 | the Materials Project database | PBE | optimized geometry; total DFT energy (no corrections) = -5.38 eV per atom; crystal system = cubic; energy of formation from the pure elements = -414 meV/atom
1.0
0.000 4.029 4.029
4.029 0.000 4.029
4.029 4.029 0.000
Th Al
2 4
direct
0.125 0.125 0.125 Th
0.875 0.875 0.875 Th
0.000 0.500 0.500 Al
0.500 0.000 0.500 Al
0.500 0.500 0.000 Al
0.500 0.500 0.500 Al

=====

[2]
Al3Tc2 | the Materials Project database | PBE | optimized geometry; total DFT energy (no corrections) = -6.56 eV per atom; crystal system = trigonal; energy of formation from the pure elements = -164 meV/atom
1.0
4.356 0.000 0.000
-2.178 3.772 0.000
0.000 0.000 5.121
Al Tc
3 2
direct
0.000 0.000 0.000 Al
0.333 0.667 0.392 Al
0.667 0.333 0.608 Al
0.333 0.667 0.896 Tc
0.667 0.333 0.104 Tc

=====

[3]
Tm2MgIn | the Materials Project database | PBE | optimized geometry; total DFT energy (no corrections) = -3.61 eV per atom; crystal system = cubic; energy of formation from the pure elements = -284 meV/atom
1.0
7.426 0.000 0.000
0.000 7.426 0.000
0.000 0.000 7.426
Tm Mg In
8 4 4
direct
0.250 0.250 0.250 Tm
0.250 0.250 0.750 Tm
0.250 0.750 0.250 Tm
0.250 0.750 0.750 Tm
0.750 0.250 0.250 Tm
0.750 0.250 0.750 Tm
0.750 0.750 0.250 Tm
0.750 0.750 0.750 Tm
0.000 0.000 0.000 Mg
0.000 0.500 0.500 Mg
0.500 0.000 0.500 Mg
0.500 0.500 0.000 Mg
0.000 0.000 0.500 In
0.000 0.500 0.000 In
0.500 0.000 0.000 In
0.500 0.500 0.500 In

=====

[4]
AlPO4 | the Materials Project database | PBE | optimized geometry; total DFT energy (no corrections) = -7.47 eV per atom; crystal system = monoclinic; energy of formation from the pure elements = -3105 meV/atom
1.0
12.758 -5.230 0.000
12.758 5.230 0.000
-6.378 0.000 11.158
Al P O
12 12 48
direct
0.066 0.066 0.690 Al
0.156 0.156 0.212 Al
0.164 0.611 0.514 Al
0.217 0.783 0.000 Al
0.295 0.295 0.667 Al
0.389 0.836 0.486 Al
0.611 0.164 0.514 Al
0.705 0.705 0.333 Al
0.783 0.217 0.000 Al
0.836 0.389 0.486 Al
0.844 0.844 0.788 Al
0.934 0.934 0.310 Al
0.069 0.069 0.942 P
0.160 0.160 0.604 P
0.168 0.613 0.760 P
0.220 0.780 0.500 P
0.292 0.292 0.415 P
0.387 0.832 0.240 P
0.613 0.168 0.760 P
0.708 0.708 0.585 P
0.780 0.220 0.500 P
0.832 0.387 0.240 P
0.840 0.840 0.396 P
0.931 0.931 0.058 P
0.009 0.738 0.755 O
0.019 0.257 0.523 O
0.080 0.080 0.836 O
0.087 0.846 0.064 O
0.112 0.841 0.387 O
0.131 0.131 0.058 O
0.136 0.136 0.692 O
0.154 0.913 0.936 O
0.159 0.888 0.613 O
0.198 0.475 0.738 O
0.208 0.449 0.423 O
0.213 0.604 0.664 O
0.230 0.230 0.678 O
0.234 0.234 0.293 O
0.254 0.644 0.493 O
0.255 0.634 0.885 O
0.257 0.019 0.523 O
0.262 0.991 0.245 O
0.275 0.275 0.515 O
0.356 0.746 0.507 O
0.366 0.745 0.115 O
0.396 0.787 0.336 O
0.449 0.208 0.423 O
0.475 0.198 0.738 O
0.525 0.802 0.262 O
0.551 0.792 0.577 O
0.604 0.213 0.664 O
0.634 0.255 0.885 O
0.644 0.254 0.493 O
0.725 0.725 0.485 O
0.738 0.009 0.755 O
0.743 0.981 0.477 O
0.745 0.366 0.115 O
0.746 0.356 0.507 O
0.766 0.766 0.707 O
0.770 0.770 0.322 O
0.787 0.396 0.336 O
0.792 0.551 0.577 O
0.802 0.525 0.262 O
0.841 0.112 0.387 O
0.846 0.087 0.064 O
0.864 0.864 0.308 O
0.869 0.869 0.942 O
0.888 0.159 0.613 O
0.913 0.154 0.936 O
0.920 0.920 0.164 O
0.981 0.743 0.477 O
0.991 0.262 0.245 O

=====

[5]
MgSi2 | the Materials Project database | PBE | optimized geometry; total DFT energy (no corrections) = -4.02 eV per atom; offset from the most stable computed form = 30 kJ/mol of formula units; crystal system = triclinic; energy of formation from the pure elements = 180 meV/atom
1.0
3.697 0.000 0.000
1.769 5.030 0.000
0.289 0.475 11.932
Mg Si
4 8
direct
0.000 0.000 0.000 Mg
0.054 0.717 0.443 Mg
0.322 0.378 0.818 Mg
0.648 0.637 0.208 Mg
0.061 0.961 0.764 Si
0.291 0.390 0.064 Si
0.330 0.234 0.329 Si
0.351 0.115 0.525 Si
0.660 0.760 0.668 Si
0.698 0.597 0.962 Si
0.759 0.311 0.616 Si
0.919 0.062 0.232 Si

=====

[6]
Mg9Si5 | the Materials Project database | PBE | optimized geometry; total DFT energy (no corrections) = -2.98 eV per atom; offset from the most stable computed form = 127 kJ/mol of formula units; crystal system = triclinic; energy of formation from the pure elements = 11 meV/atom
1.0
7.183 0.000 0.000
3.544 6.260 0.000
2.994 -1.068 12.807
Mg Si
18 10
direct
0.000 0.000 0.000 Mg
0.006 0.340 0.167 Mg
0.050 0.579 0.607 Mg
0.118 0.895 0.489 Mg
0.135 0.539 0.327 Mg
0.184 0.254 0.853 Mg
0.273 0.832 0.174 Mg
0.316 0.477 0.009 Mg
0.378 0.160 0.486 Mg
0.494 0.353 0.677 Mg
0.521 0.112 0.167 Mg
0.538 0.876 0.680 Mg
0.603 0.754 0.325 Mg
0.687 0.036 0.849 Mg
0.732 0.678 0.026 Mg
0.807 0.425 0.491 Mg
0.815 0.085 0.326 Mg
0.962 0.218 0.691 Mg
0.094 0.674 0.849 Si
0.183 0.129 0.333 Si
0.219 0.785 0.686 Si
0.352 0.057 0.014 Si
0.464 0.481 0.414 Si
0.578 0.438 0.211 Si
0.738 0.366 0.906 Si
0.777 0.823 0.481 Si
0.815 0.611 0.804 Si
0.936 0.759 0.163 Si

=====

[7]
As | the Materials Project database | PBE | optimized geometry; total DFT energy (no corrections) = -4.10 eV per atom; offset from the most stable computed form = 54 kJ/mol of formula units; crystal system = cubic; energy of formation from the pure elements = 559 meV/atom
1.0
4.267 0.000 0.000
0.000 4.267 0.000
0.000 0.000 4.267
As
4
direct
0.000 0.000 0.000 As
0.000 0.500 0.500 As
0.500 0.000 0.500 As
0.500 0.500 0.000 As

=====

[8]
K3Mn2Cl7 | the Materials Project database | PBE | optimized geometry; total DFT energy (no corrections) = -4.40 eV per atom; crystal system = tetragonal; energy of formation from the pure elements = -1880 meV/atom
1.0
-2.535 2.535 12.848
2.535 -2.535 12.848
2.535 2.535 -12.848
K Mn Cl
3 2 7
direct
0.000 0.000 0.000 K
0.182 0.182 0.000 K
0.818 0.818 0.000 K
0.400 0.400 0.000 Mn
0.600 0.600 0.000 Mn
0.097 0.597 0.500 Cl
0.303 0.303 0.000 Cl
0.403 0.903 0.500 Cl
0.500 0.500 0.000 Cl
0.597 0.097 0.500 Cl
0.697 0.697 0.000 Cl
0.903 0.403 0.500 Cl

=====

[9]
Te2MoW2Se2S2 | the Materials Project database | PBE | optimized geometry; total DFT energy (no corrections) = -6.95 eV per atom; offset from the most stable computed form = 24 kJ/mol of formula units; crystal system = trigonal; energy of formation from the pure elements = -580 meV/atom
1.0
3.350 0.000 0.000
-1.675 2.901 0.000
0.000 0.000 32.049
Te Mo W Se S
2 1 2 2 2
direct
0.000 0.000 0.000 Te
0.000 0.000 0.119 Te
0.667 0.333 0.593 Mo
0.000 0.000 0.828 W
0.667 0.333 0.059 W
0.000 0.000 0.541 Se
0.000 0.000 0.645 Se
0.667 0.333 0.781 S
0.667 0.333 0.876 S

=====

[10]
K2Hg3S3O10 | the Materials Project database | PBE | optimized geometry; total DFT energy (no corrections) = -4.83 eV per atom; crystal system = orthorhombic; energy of formation from the pure elements = -1594 meV/atom
1.0
7.653 0.000 0.000
0.000 21.213 0.000
0.000 0.000 8.031
K Hg S O
8 12 12 40
direct
0.138 0.060 0.136 K
0.138 0.440 0.136 K
0.362 0.560 0.636 K
0.362 0.940 0.636 K
0.638 0.060 0.364 K
0.638 0.440 0.364 K
0.862 0.560 0.864 K
0.862 0.940 0.864 K
0.057 0.750 0.589 Hg
0.230 0.670 0.230 Hg
0.230 0.830 0.230 Hg
0.270 0.170 0.730 Hg
0.270 0.330 0.730 Hg
0.443 0.250 0.089 Hg
0.557 0.750 0.911 Hg
0.730 0.670 0.270 Hg
0.730 0.830 0.270 Hg
0.770 0.170 0.770 Hg
0.770 0.330 0.770 Hg
0.943 0.250 0.411 Hg
0.010 0.750 0.883 S
0.132 0.083 0.590 S
0.132 0.417 0.590 S
0.368 0.583 0.090 S
0.368 0.917 0.090 S
0.490 0.250 0.383 S
0.510 0.750 0.617 S
0.632 0.083 0.910 S
0.632 0.417 0.910 S
0.868 0.583 0.410 S
0.868 0.917 0.410 S
0.990 0.250 0.117 S
0.021 0.609 0.501 O
0.021 0.891 0.501 O
0.083 0.037 0.719 O
0.083 0.463 0.719 O
0.088 0.192 0.074 O
0.088 0.308 0.074 O
0.090 0.750 0.328 O
0.188 0.750 0.957 O
0.233 0.559 0.974 O
0.233 0.941 0.974 O
0.267 0.059 0.474 O
0.267 0.441 0.474 O
0.312 0.250 0.457 O
0.410 0.250 0.828 O
0.412 0.692 0.574 O
0.412 0.808 0.574 O
0.417 0.537 0.219 O
0.417 0.963 0.219 O
0.479 0.109 0.001 O
0.479 0.391 0.001 O
0.521 0.609 0.999 O
0.521 0.891 0.999 O
0.583 0.037 0.781 O
0.583 0.463 0.781 O
0.588 0.192 0.426 O
0.588 0.308 0.426 O
0.590 0.750 0.172 O
0.688 0.750 0.543 O
0.733 0.559 0.526 O
0.733 0.941 0.526 O
0.767 0.059 0.026 O
0.767 0.441 0.026 O
0.812 0.250 0.043 O
0.910 0.250 0.672 O
0.912 0.692 0.926 O
0.912 0.808 0.926 O
0.917 0.537 0.281 O
0.917 0.963 0.281 O
0.979 0.109 0.499 O
0.979 0.391 0.499 O

=====

[11]
SrNd2Cu2O6 | the Materials Project database | PBE | optimized geometry; total DFT energy (no corrections) = -6.67 eV per atom; offset from the most stable computed form = 13 kJ/mol of formula units; crystal system = tetragonal; energy of formation from the pure elements = -2577 meV/atom
1.0
-1.929 1.929 9.873
1.929 -1.929 9.873
1.929 1.929 -9.873
Sr Nd Cu O
1 2 2 6
direct
0.000 0.000 0.000 Sr
0.179 0.179 0.000 Nd
0.360 0.360 0.000 Nd
0.589 0.589 0.000 Cu
0.768 0.768 0.000 Cu
0.104 0.604 0.500 O
0.263 0.763 0.500 O
0.473 0.473 0.000 O
0.604 0.104 0.500 O
0.763 0.263 0.500 O
0.878 0.878 0.000 O

=====

[12]
RbH4CN3 | the Materials Project database | PBE | optimized geometry; total DFT energy (no corrections) = -5.73 eV per atom; crystal system = orthorhombic; energy of formation from the pure elements = -428 meV/atom
1.0
7.055 0.000 0.000
0.000 7.162 0.000
0.000 0.000 7.595
Rb H C N
4 16 4 12
direct
0.027 0.250 0.077 Rb
0.473 0.750 0.577 Rb
0.527 0.250 0.423 Rb
0.973 0.750 0.923 Rb
0.047 0.628 0.555 H
0.047 0.872 0.555 H
0.204 0.598 0.281 H
0.204 0.902 0.281 H
0.296 0.098 0.781 H
0.296 0.402 0.781 H
0.453 0.128 0.055 H
0.453 0.372 0.055 H
0.547 0.628 0.945 H
0.547 0.872 0.945 H
0.704 0.598 0.219 H
0.704 0.902 0.219 H
0.796 0.098 0.719 H
0.796 0.402 0.719 H
0.953 0.128 0.445 H
0.953 0.372 0.445 H
0.143 0.250 0.625 C
0.357 0.750 0.125 C
0.643 0.250 0.875 C
0.857 0.750 0.375 C
0.019 0.250 0.484 N
0.198 0.080 0.683 N
0.198 0.420 0.683 N
0.302 0.580 0.183 N
0.302 0.920 0.183 N
0.481 0.750 0.984 N
0.519 0.250 0.016 N
0.698 0.080 0.817 N
0.698 0.420 0.817 N
0.802 0.580 0.317 N
0.802 0.920 0.317 N
0.981 0.750 0.516 N

=====

Number 3 is which compound? Tm2MgIn